Li9Mn2Co5O16 | GGA+U | relaxed

## Properties
- ΔE_f (eV/atom) = -1.82
- E (eV/atom) = -5.808
- space-group type = P1, No. 1
- total magnetic moment (μB per atom) = 0.312

a b c (Å): 5.100 5.129 11.643
angles (deg): 91.02 91.62 109.41
Element x y z (fractional)
Li1 0.000 0.000 0.000
Li2 0.001 0.498 0.378
Li3 0.002 0.496 0.122
Li4 0.005 0.502 0.624
Li5 0.494 0.494 0.753
Li6 0.503 0.500 0.502
Li7 0.506 0.501 0.001
Li8 0.508 0.503 0.246
Li9 0.997 0.501 0.878
Mn1 0.500 0.994 0.880
Mn2 0.506 0.003 0.373
Co1 0.003 0.999 0.503
Co2 0.006 0.003 0.241
Co3 0.495 0.990 0.626
Co4 0.505 0.009 0.122
Co5 0.995 0.992 0.759
O1 0.238 0.227 0.622
O2 0.248 0.223 0.371
O3 0.252 0.755 0.507
O4 0.253 0.219 0.870
O5 0.260 0.763 0.758
O6 0.276 0.222 0.127
O7 0.279 0.782 0.242
O8 0.286 0.775 0.002
O9 0.722 0.227 0.002
O10 0.724 0.218 0.760
O11 0.735 0.228 0.500
O12 0.737 0.770 0.874
O13 0.747 0.784 0.131
O14 0.754 0.243 0.236
O15 0.759 0.778 0.378
O16 0.763 0.772 0.629


Mn3Cu2SnP6O24 | GGA+U | relaxed

## Properties
- ΔE_f (eV/atom) = -2.23
- E (eV/atom) = -6.933
- space-group type = R3, No. 146
- total magnetic moment (μB per atom) = 0.273

a b c (Å): 8.602 8.602 8.602
angles (deg): 59.62 59.62 59.62
Element x y z (fractional)
Mn1 0.000 0.000 0.000
Mn2 0.214 0.214 0.214
Mn3 0.499 0.499 0.499
Cu1 0.356 0.356 0.356
Cu2 0.859 0.859 0.859
Sn1 0.714 0.714 0.714
P1 0.112 0.819 0.393
P2 0.309 0.604 0.900
P3 0.393 0.112 0.819
P4 0.604 0.900 0.309
P5 0.819 0.393 0.112
P6 0.900 0.309 0.604
O1 0.052 0.849 0.237
O2 0.097 0.294 0.435
O3 0.115 0.773 0.916
O4 0.166 0.981 0.359
O5 0.237 0.052 0.849
O6 0.278 0.622 0.409
O7 0.294 0.435 0.097
O8 0.347 0.553 0.736
O9 0.359 0.166 0.981
O10 0.409 0.278 0.622
O11 0.435 0.097 0.294
O12 0.468 0.657 0.877
O13 0.553 0.736 0.347
O14 0.591 0.946 0.804
O15 0.622 0.409 0.278
O16 0.657 0.877 0.468
O17 0.736 0.347 0.553
O18 0.773 0.916 0.115
O19 0.804 0.591 0.946
O20 0.849 0.237 0.052
O21 0.877 0.468 0.657
O22 0.916 0.115 0.773
O23 0.946 0.804 0.591
O24 0.981 0.359 0.166


SrPrGdCoO6 | GGA+U | relaxed

## Properties
- ΔE_f (eV/atom) = -2.46
- E (eV/atom) = -7.622
- space-group type = P1, No. 1
- total magnetic moment (μB per atom) = 0.206

a b c (Å): 6.132 6.525 8.711
angles (deg): 90.91 90.10 90.07
Element x y z (fractional)
Sr1 0.000 0.000 0.000
Sr2 0.500 0.336 0.505
Pr1 0.056 0.837 0.512
Pr2 0.556 0.498 0.007
Gd1 0.029 0.415 0.256
Gd2 0.529 0.920 0.756
Co1 0.028 0.417 0.756
Co2 0.528 0.919 0.256
O1 0.151 0.389 0.981
O2 0.190 0.134 0.695
O3 0.244 0.089 0.316
O4 0.310 0.593 0.697
O5 0.363 0.637 0.316
O6 0.412 0.884 0.032
O7 0.651 0.946 0.481
O8 0.691 0.202 0.195
O9 0.743 0.247 0.817
O10 0.810 0.741 0.198
O11 0.864 0.697 0.816
O12 0.912 0.451 0.531


LaFePO | GGA+U | relaxed

## Properties
- ΔE_f (eV/atom) = -1.75
- E (eV/atom) = -6.957
- space-group type = P4/nmm, No. 129
- total magnetic moment (μB per atom) = 0.966

a b c (Å): 4.069 4.069 9.085
angles (deg): 90.00 90.00 90.00
Element x y z (fractional)
La1 0.250 0.250 0.135
La2 0.750 0.750 0.865
Fe1 0.250 0.750 0.500
Fe2 0.750 0.250 0.500
P1 0.250 0.250 0.666
P2 0.750 0.750 0.334
O1 0.250 0.750 0.000
O2 0.750 0.250 0.000


Li9Mn2Co5O16 | GGA+U | relaxed

## Properties
- ΔE_f (eV/atom) = -1.84
- E (eV/atom) = -5.830
- space-group type = P2, No. 3
- total magnetic moment (μB per atom) = 0.375

a b c (Å): 5.189 11.343 5.200
angles (deg): 90.00 112.26 90.00
Element x y z (fractional)
Li1 0.000 0.000 0.000
Li2 0.000 0.116 0.500
Li3 0.000 0.239 0.000
Li4 0.000 0.367 0.500
Li5 0.000 0.492 0.000
Li6 0.000 0.616 0.500
Li7 0.000 0.748 0.000
Li8 0.000 0.878 0.500
Li9 0.500 0.118 0.000
Mn1 0.500 0.244 0.500
Mn2 0.500 0.746 0.500
Co1 0.500 0.370 0.000
Co2 0.500 0.495 0.500
Co3 0.500 0.618 0.000
Co4 0.500 0.876 0.000
Co5 0.500 0.996 0.500
O1 0.264 0.121 0.285
O2 0.264 0.867 0.278
O3 0.265 0.620 0.273
O4 0.267 0.372 0.273
O5 0.272 0.987 0.764
O6 0.277 0.496 0.770
O7 0.290 0.253 0.745
O8 0.296 0.743 0.753
O9 0.704 0.743 0.247
O10 0.710 0.253 0.255
O11 0.723 0.496 0.230
O12 0.728 0.987 0.236
O13 0.733 0.372 0.727
O14 0.735 0.620 0.727
O15 0.736 0.121 0.715
O16 0.736 0.867 0.722


Sr2MgZrCrO6 | GGA+U | relaxed

## Properties
- ΔE_f (eV/atom) = -2.96
- E (eV/atom) = -7.207
- space-group type = P1, No. 1
- total magnetic moment (μB per atom) = 0.364

a b c (Å): 5.446 5.673 6.377
angles (deg): 116.08 109.81 90.22
Element x y z (fractional)
Sr1 0.000 0.000 0.000
Sr2 0.374 0.427 0.855
Mg1 0.690 0.736 0.421
Zr1 0.193 0.735 0.433
Cr1 0.689 0.233 0.433
O1 0.394 0.900 0.270
O2 0.396 0.414 0.287
O3 0.530 0.932 0.751
O4 0.842 0.615 0.122
O5 0.980 0.562 0.582
O6 0.982 0.061 0.594